No. 1
A relaxed Li4Ti2Fe3Co3O16 crystal, computed with PBE+U.

Unit cell a=5.8733 b=5.8733 c=9.5267 alpha=88.98 beta=88.98 gamma=60.23
Element x y z (fractional)
O (0.9684, 0.5352, 0.8351)
O (0.1689, 0.1689, 0.5914)
Li (0.9989, 0.9989, 0.4933)
Ti (0.3361, 0.3361, 0.4967)
O (0.5251, 0.5251, 0.8475)
Co (0.8307, 0.8307, 0.7140)
Li (0.9978, 0.9978, 0.9942)
O (0.6755, 0.6755, 0.6061)
O (0.8399, 0.3346, 0.0928)
O (0.1538, 0.6697, 0.6000)
O (0.3346, 0.8399, 0.0928)
Co (0.1661, 0.6608, 0.2171)
O (0.0420, 0.4878, 0.3434)
Fe (0.3409, 0.8358, 0.7150)
O (0.3419, 0.3419, 0.1060)
O (0.9975, 0.9975, 0.3035)
O (0.9947, 0.9947, 0.8066)
Li (0.3404, 0.3404, 0.8967)
Ti (0.6681, 0.6681, 0.9950)
O (0.4831, 0.4831, 0.3457)
O (0.6697, 0.1538, 0.6000)
Fe (0.1727, 0.1727, 0.2124)
O (0.5352, 0.9684, 0.8351)
O (0.8326, 0.8326, 0.0972)
Co (0.6608, 0.1661, 0.2171)
Fe (0.8358, 0.3409, 0.7150)
O (0.4878, 0.0420, 0.3434)
Li (0.6717, 0.6717, 0.3969)

Output
ΔE_f, eV per atom: -2.034


No. 2
A relaxed MgTi3V5O16 crystal, computed with PBE+U.

Unit cell a=5.9395 b=5.9705 c=9.3201 alpha=89.13 beta=89.96 gamma=120.50
Element x y z (fractional)
Ti (0.3524, 0.1583, 0.6942)
Mg (0.1836, 0.3538, 0.9502)
O (0.1710, 0.3502, 0.5974)
V (0.8495, 0.1867, 0.6972)
O (0.5382, 0.0471, 0.8224)
O (0.3006, 0.6325, 0.1080)
O (0.8398, 0.1604, 0.1016)
O (0.3144, 0.1562, 0.0970)
V (0.8377, 0.6756, 0.7196)
O (0.0329, 0.5263, 0.3548)
V (0.3612, 0.6901, 0.4906)
Ti (0.1849, 0.8580, 0.2106)
O (0.9820, 0.9743, 0.3172)
O (0.5160, 0.4661, 0.8420)
O (0.4594, 0.5146, 0.3433)
V (0.6599, 0.8012, 0.1998)
O (0.9693, 0.4700, 0.8385)
O (0.6789, 0.3556, 0.5994)
O (0.6544, 0.8405, 0.5972)
V (0.6639, 0.3141, 0.9832)
O (0.0185, 0.0279, 0.8097)
Ti (0.1231, 0.3291, 0.2551)
O (0.4788, 0.9483, 0.3258)
O (0.1838, 0.8455, 0.5978)
O (0.8122, 0.6511, 0.1060)

Output
ΔE_f, eV per atom: -2.824
Distance to the lowest polymorph of the same formula, eV/atom: 0.031


No. 3
A relaxed Sr5MnFe4O10 crystal, computed with PBE+U.

Unit cell a=3.4865 b=20.6774 c=8.1324 alpha=78.66 beta=90.00 gamma=90.00
Element x y z (fractional)
Fe (0.0000, 0.7999, 0.6001)
Sr (0.5000, 0.0996, 0.7000)
O (0.0000, 0.7997, 0.3534)
O (0.9999, 0.3000, 0.8500)
Sr (0.5000, 0.6998, 0.4009)
O (0.0000, 0.9020, 0.5489)
O (0.0001, 0.0000, 0.7364)
Mn (0.0001, 0.9999, 0.4999)
Sr (0.5000, 0.0996, 0.2004)
O (0.0000, 0.6995, 0.6502)
Fe (0.0000, 0.2008, 0.8996)
Fe (0.0000, 0.5999, 0.2001)
O (0.0000, 0.0000, 0.2634)
Sr (0.5000, 0.5000, 0.5000)
O (0.0001, 0.1022, 0.9489)
Sr (0.5000, 0.6998, 0.8993)
O (0.0000, 0.2004, 0.6467)
Fe (0.0000, 0.5999, 0.7001)
Sr (0.5000, 0.5000, 0.0000)
O (0.9999, 0.2004, 0.1530)
O (0.0001, 0.3005, 0.3498)
O (0.0001, 0.7000, 0.1500)
Mn (0.0002, 0.0000, 0.0000)
O (0.9999, 0.8978, 0.0511)
Sr (0.5000, 0.9004, 0.2999)
O (0.9999, 0.0979, 0.4510)
Sr (0.5000, 0.3002, 0.1007)
O (0.9999, 0.4001, 0.0497)
O (0.0000, 0.5999, 0.4498)
Fe (0.0000, 0.2001, 0.4000)
O (0.0001, 0.5000, 0.2500)
O (0.0000, 0.5001, 0.7500)
Fe (0.0000, 0.4001, 0.8000)
O (0.0001, 0.4001, 0.5503)
O (0.9999, 0.5999, 0.9504)
Fe (0.0000, 0.7993, 0.1004)
Sr (0.5000, 0.3002, 0.5991)
O (0.9999, 0.7996, 0.8470)
Fe (0.0000, 0.4001, 0.3000)
Sr (0.5000, 0.9004, 0.7997)

Output
ΔE_f, eV per atom: -2.307
Distance to the lowest polymorph of the same formula, eV/atom: 0.004


No. 4
A relaxed Fe2WO6 crystal, computed with PBE+U.

Unit cell a=4.6249 b=5.0737 c=16.9656 alpha=90.00 beta=90.00 gamma=90.00
Element x y z (fractional)
W (0.5000, 0.2500, 0.3843)
O (0.7362, 0.4066, 0.9591)
O (0.7265, 0.4300, 0.6259)
O (0.2751, 0.0840, 0.2973)
O (0.2638, 0.0934, 0.9591)
W (0.5000, 0.7500, 0.6157)
O (0.2249, 0.0840, 0.7973)
O (0.7735, 0.9300, 0.8741)
O (0.7265, 0.9300, 0.3741)
Fe (0.0000, 0.2500, 0.5528)
O (0.7751, 0.9160, 0.2027)
O (0.2362, 0.5934, 0.5409)
O (0.7362, 0.9066, 0.0409)
Fe (0.5000, 0.2500, 0.7223)
W (0.0000, 0.7500, 0.1157)
O (0.2735, 0.0700, 0.6259)
O (0.2249, 0.5840, 0.2027)
Fe (0.0000, 0.7500, 0.4472)
Fe (0.5000, 0.7500, 0.9472)
O (0.2265, 0.5700, 0.8741)
O (0.2751, 0.5840, 0.7027)
Fe (0.5000, 0.7500, 0.2777)
O (0.7638, 0.4066, 0.4591)
O (0.2362, 0.0934, 0.4591)
Fe (0.5000, 0.2500, 0.0528)
Fe (0.0000, 0.7500, 0.7777)
O (0.7249, 0.4160, 0.2973)
O (0.2638, 0.5934, 0.0409)
O (0.2735, 0.5700, 0.3741)
Fe (0.0000, 0.2500, 0.2223)
O (0.7249, 0.9160, 0.7027)
O (0.7638, 0.9066, 0.5409)
O (0.7751, 0.4160, 0.7973)
O (0.7735, 0.4300, 0.1259)
O (0.2265, 0.0700, 0.1259)
W (0.0000, 0.2500, 0.8843)

Output
ΔE_f, eV per atom: -1.892


| no. | VASP energy (eV/cell) | calculated volume (Å³ per cell) |
| --- | --- | --- |
| 1 | -183.6 | 285.19 |
| 2 | -201.0 | 284.72 |
| 3 | -259.1 | 574.83 |
| 4 | -254.2 | 398.10 |